Crystalline LiInMo2O8 at its relaxed geometry. Source: the Materials Project, functional PBE with a Hubbard U.

Output
symmetry	C2/c, No. 15
energy relative to the lowest polymorph listed for this composition	7	meV per atom
total moment	0.00	μB/f.u.
energy of formation from the pure elements	-198.0	kJ/mol of atoms

Lattice parameters (Å, degrees): 7.5911 7.5911 5.0934 88.88 88.88 100.88
Atoms (fractional coordinates):
Li: 0.5846 0.4154 0.2500
Li: 0.4154 0.5846 0.7500
In: 0.9082 0.0918 0.7500
In: 0.0918 0.9082 0.2500
Mo: 0.5730 0.8909 0.2500
Mo: 0.1091 0.4270 0.2500
Mo: 0.4270 0.1091 0.7500
Mo: 0.8909 0.5730 0.7500
O: 0.4352 0.3167 0.5934
O: 0.6833 0.5648 0.9066
O: 0.4448 0.8321 0.9568
O: 0.1679 0.5552 0.5432
O: 0.5648 0.6833 0.4066
O: 0.3167 0.4352 0.0934
O: 0.9422 0.8127 0.6102
O: 0.1873 0.0578 0.8898
O: 0.0578 0.1873 0.3898
O: 0.8127 0.9422 0.1102
O: 0.9478 0.3475 0.9322
O: 0.6525 0.0522 0.5678
O: 0.0522 0.6525 0.0678
O: 0.3475 0.9478 0.4322
O: 0.8321 0.4448 0.4568
O: 0.5552 0.1679 0.0432

***

Crystalline RbBa2Ni2F9 at its relaxed geometry. Source: the Materials Project, functional PBE with a Hubbard U.

Output
symmetry	R3m, No. 160
total moment	4.00	μB/f.u.
energy of formation from the pure elements	-308.5	kJ/mol of atoms

Lattice parameters (Å, degrees): 7.8633 7.8633 7.8633 43.83 43.83 43.83
Atoms (fractional coordinates):
Rb: 0.2130 0.2130 0.2130
Ba: 0.9988 0.9988 0.9988
Ba: 0.7937 0.7937 0.7937
Ni: 0.3896 0.3896 0.3896
Ni: 0.6067 0.6067 0.6067
F: 0.2681 0.7724 0.2681
F: 0.7724 0.2681 0.2681
F: 0.2681 0.2681 0.7724
F: 0.7320 0.2208 0.7320
F: 0.2208 0.7320 0.7320
F: 0.7320 0.7320 0.2208
F: 0.9926 0.5061 0.5061
F: 0.5061 0.5061 0.9926
F: 0.5061 0.9926 0.5061

***

Crystalline Co4SnC16O16 at its relaxed geometry. Source: the Materials Project, functional PBE with a Hubbard U.

Output
symmetry	F-43c, No. 219
total moment	0.04	μB/f.u.
energy of formation from the pure elements	-78.3	kJ/mol of atoms

Lattice parameters (Å, degrees): 12.4729 12.4729 12.4729 60.00 60.00 60.00
Atoms (fractional coordinates):
Co: 0.9110 0.9110 0.2669
Co: 0.4110 0.4110 0.4110
Co: 0.9110 0.9110 0.9110
Co: 0.7669 0.4110 0.4110
Co: 0.9110 0.2669 0.9110
Co: 0.2669 0.9110 0.9110
Co: 0.4110 0.7669 0.4110
Co: 0.4110 0.4110 0.7669
Sn: 0.0000 0.0000 0.0000
Sn: 0.5000 0.5000 0.5000
C: 0.2546 0.7621 0.0416
C: 0.7621 0.9417 0.0416
C: 0.3532 0.9404 0.3532
C: 0.7546 0.5416 0.2621
C: 0.3532 0.3532 0.3532
C: 0.7546 0.4417 0.5416
C: 0.2546 0.0416 0.9417
C: 0.4404 0.8532 0.8532
C: 0.8532 0.8532 0.8532
C: 0.4417 0.2621 0.5416
C: 0.2546 0.9417 0.7621
C: 0.0416 0.9417 0.2546
C: 0.7621 0.0416 0.2546
C: 0.8532 0.8532 0.4404
C: 0.8532 0.4404 0.8532
C: 0.5416 0.2621 0.7546
C: 0.4417 0.5416 0.7546
C: 0.0416 0.2546 0.7621
C: 0.9404 0.3532 0.3532
C: 0.5416 0.4417 0.2621
C: 0.9417 0.0416 0.7621
C: 0.9417 0.2546 0.0416
C: 0.2621 0.5416 0.4417
C: 0.9417 0.7621 0.2546
C: 0.0416 0.7621 0.9417
C: 0.7621 0.2546 0.9417
C: 0.5416 0.7546 0.4417
C: 0.2621 0.7546 0.5416
C: 0.3532 0.3532 0.9404
C: 0.4417 0.7546 0.2621
C: 0.7546 0.2621 0.4417
C: 0.2621 0.4417 0.7546
O: 0.6236 0.1604 0.7594
O: 0.3154 0.3154 0.0537
O: 0.7594 0.1604 0.4566
O: 0.1236 0.6604 0.9566
O: 0.8154 0.8154 0.8154
O: 0.5537 0.8154 0.8154
O: 0.6604 0.9566 0.1236
O: 0.7594 0.4566 0.6236
O: 0.6236 0.4566 0.1604
O: 0.1604 0.6236 0.4566
O: 0.1236 0.9566 0.2594
O: 0.8154 0.5537 0.8154
O: 0.9566 0.6604 0.2594
O: 0.4566 0.6236 0.7594
O: 0.1604 0.7594 0.6236
O: 0.1604 0.4566 0.7594
O: 0.1236 0.2594 0.6604
O: 0.3154 0.0537 0.3154
O: 0.2594 0.6604 0.1236
O: 0.0537 0.3154 0.3154
O: 0.9566 0.2594 0.1236
O: 0.6604 0.1236 0.2594
O: 0.4566 0.7594 0.1604
O: 0.4566 0.1604 0.6236
O: 0.2594 0.9566 0.6604
O: 0.6604 0.2594 0.9566
O: 0.2594 0.1236 0.9566
O: 0.6236 0.7594 0.4566
O: 0.8154 0.8154 0.5537
O: 0.7594 0.6236 0.1604
O: 0.3154 0.3154 0.3154
O: 0.9566 0.1236 0.6604

***

Crystalline Ca5V3O12 at its relaxed geometry. Source: the Materials Project, functional PBE with a Hubbard U.

Output
symmetry	Pnma, No. 62
total moment	1.00	μB/f.u.
energy of formation from the pure elements	-290.9	kJ/mol of atoms

Lattice parameters (Å, degrees): 6.7973 10.5209 16.2928 90.00 90.00 90.00
Atoms (fractional coordinates):
Ca: 0.0434 0.1795 0.7500
Ca: 0.9566 0.8205 0.2500
Ca: 0.4566 0.6795 0.2500
Ca: 0.5434 0.3205 0.7500
Ca: 0.3747 0.0679 0.5915
Ca: 0.6253 0.9321 0.4085
Ca: 0.1253 0.5679 0.4085
Ca: 0.6253 0.9321 0.0915
Ca: 0.8747 0.4321 0.5915
Ca: 0.3747 0.0679 0.9085
Ca: 0.8747 0.4321 0.9085
Ca: 0.1253 0.5679 0.0915
Ca: 0.1872 0.1702 0.1060
Ca: 0.8128 0.8298 0.8940
Ca: 0.3128 0.6702 0.8940
Ca: 0.8128 0.8298 0.6060
Ca: 0.6872 0.3298 0.1060
Ca: 0.1872 0.1702 0.3940
Ca: 0.6872 0.3298 0.3940
Ca: 0.3128 0.6702 0.6060
V: 0.3619 0.3725 0.5719
V: 0.6381 0.6275 0.4281
V: 0.1381 0.8725 0.4281
V: 0.6381 0.6275 0.0719
V: 0.8619 0.1275 0.5719
V: 0.3619 0.3725 0.9281
V: 0.8619 0.1275 0.9281
V: 0.1381 0.8725 0.0719
V: 0.0253 0.5762 0.7500
V: 0.9747 0.4238 0.2500
V: 0.4747 0.0762 0.2500
V: 0.5253 0.9238 0.7500
O: 0.2779 0.5812 0.7500
O: 0.7221 0.4188 0.2500
O: 0.2221 0.0812 0.2500
O: 0.7779 0.9188 0.7500
O: 0.2733 0.2722 0.6519
O: 0.7267 0.7278 0.3481
O: 0.2267 0.7722 0.3481
O: 0.7267 0.7278 0.1519
O: 0.7733 0.2278 0.6519
O: 0.2733 0.2722 0.8481
O: 0.7733 0.2278 0.8481
O: 0.2267 0.7722 0.1519
O: 0.1874 0.4896 0.5401
O: 0.8126 0.5104 0.4599
O: 0.3126 0.9896 0.4599
O: 0.8126 0.5104 0.0401
O: 0.6874 0.0104 0.5401
O: 0.1874 0.4896 0.9599
O: 0.6874 0.0104 0.9599
O: 0.3126 0.9896 0.0401
O: 0.0450 0.0346 0.6205
O: 0.9550 0.9654 0.3795
O: 0.4550 0.5346 0.3795
O: 0.9550 0.9654 0.1205
O: 0.5450 0.4654 0.6205
O: 0.0450 0.0346 0.8795
O: 0.5450 0.4654 0.8795
O: 0.4550 0.5346 0.1205
O: 0.0470 0.3528 0.1579
O: 0.9530 0.6472 0.8421
O: 0.4530 0.8528 0.8421
O: 0.9530 0.6472 0.6579
O: 0.5470 0.1472 0.1579
O: 0.0470 0.3528 0.3421
O: 0.5470 0.1472 0.3421
O: 0.4530 0.8528 0.6579
O: 0.4290 0.2684 0.0092
O: 0.5710 0.7316 0.9908
O: 0.0710 0.7684 0.9908
O: 0.5710 0.7316 0.5092
O: 0.9290 0.2316 0.0092
O: 0.4290 0.2684 0.4908
O: 0.9290 0.2316 0.4908
O: 0.0710 0.7684 0.5092
O: 0.4288 0.0775 0.7500
O: 0.5712 0.9225 0.2500
O: 0.0712 0.5775 0.2500
O: 0.9288 0.4225 0.7500